--- 1 ---
NaMg14V | GGA-PBE | optimized geometry

Values from the calculation:
**Total magnetic moment**: 2.98 μB per formula unit

a = 6.4259 Å, b = 6.4259 Å, c = 10.1655 Å
α = 90.00°, β = 90.00°, γ = 120.00°
Space group P-6m2 (No. 187)
Unique sites:
1 Na 0.0000 0.0000 0.0000 (multiplicity 1)
2 Mg 0.0009 0.5004 0.5000 (multiplicity 3)
3 Mg 0.0037 0.5018 0.0000 (multiplicity 3)
4 Mg 0.1651 0.3302 0.2574 (multiplicity 6)
5 Mg 0.6667 0.3333 0.2485 (multiplicity 2)
6 V 0.0000 0.0000 0.5000 (multiplicity 1)

=====

--- 2 ---
NaMg14V | GGA-PBE | optimized geometry

Values from the calculation:
**Total magnetic moment**: 3.15 μB per formula unit

a = 10.2339 Å, b = 6.4354 Å, c = 11.0277 Å
α = 90.00°, β = 90.00°, γ = 90.00°
Space group Amm2 (No. 38)
Unique sites:
1 Na 0.0000 0.0000 0.0000 (multiplicity 2)
2 Mg 0.0000 0.2501 0.2506 (multiplicity 4)
3 Mg 0.2447 0.0000 0.6640 (multiplicity 4)
4 Mg 0.2488 0.2430 0.4180 (multiplicity 8)
5 Mg 0.2535 0.0000 0.1687 (multiplicity 4)
6 Mg 0.5000 0.0000 0.9997 (multiplicity 2)
7 Mg 0.5000 0.0000 0.5002 (multiplicity 2)
8 Mg 0.5000 0.2493 0.7505 (multiplicity 4)
9 V 0.0000 0.0000 0.4992 (multiplicity 2)

=====

Referenced to the most stable arrangement, the calculated values in meV/atom are 1 0; 2 7.

=====

--- 1 ---
NaMg14W | GGA-PBE | optimized geometry

Values from the calculation:
**Total magnetic moment**: 0.00 μB per formula unit

a = 6.3622 Å, b = 6.3622 Å, c = 10.0456 Å
α = 90.00°, β = 90.00°, γ = 120.00°
Space group P-6m2 (No. 187)
Unique sites:
1 Na 0.0000 0.0000 0.0000 (multiplicity 1)
2 Mg 0.0045 0.5023 0.0000 (multiplicity 3)
3 Mg 0.1621 0.3241 0.2632 (multiplicity 6)
4 Mg 0.5004 0.0009 0.5000 (multiplicity 3)
5 Mg 0.6667 0.3333 0.2482 (multiplicity 2)
6 W 0.0000 0.0000 0.5000 (multiplicity 1)

=====

--- 2 ---
NaMg14W | GGA-PBE | optimized geometry

Values from the calculation:
**Total magnetic moment**: 0.00 μB per formula unit

a = 10.0584 Å, b = 6.4875 Å, c = 10.8275 Å
α = 90.00°, β = 90.00°, γ = 90.00°
Space group Amm2 (No. 38)
Unique sites:
1 Na 0.0000 0.0000 0.0000 (multiplicity 2)
2 Mg 0.0000 0.2494 0.7504 (multiplicity 4)
3 Mg 0.2393 0.0000 0.6613 (multiplicity 4)
4 Mg 0.2418 0.2372 0.4214 (multiplicity 8)
5 Mg 0.2537 0.0000 0.1700 (multiplicity 4)
6 Mg 0.5000 0.0000 0.4999 (multiplicity 2)
7 Mg 0.5000 0.0000 0.9987 (multiplicity 2)
8 Mg 0.5000 0.2476 0.7506 (multiplicity 4)
9 W 0.0000 0.0000 0.4940 (multiplicity 2)

=====

Referenced to the most stable arrangement, the calculated values in meV/atom are 1 0; 2 19.